Entry from the Materials Project database: a relaxed structure of K6Fe24S26Cl (PBE-GGA).

Calculated values
Space group   I4/mmm, No. 139
ΔH_f (0 K)   -44.81 eV/f.u.
Magnetization   13.5 μB per formula unit
Calculated total energy   -6.1483 eV per atom

a = 12.1533 Å, b = 12.1533 Å, c = 12.1533 Å
α = 131.65°, β = 131.65°, γ = 70.78°
Last column: nearest neighbours and their distance in Å.
Fractional positions:
K (0.0000, 0.2994, 0.2994)  1 Cl 2.98, 8 S 3.17-3.33
K (0.0000, 0.7006, 0.7006)  1 Cl 2.98, 8 S 3.17-3.33
K (0.1537, 0.1537, 0.0000)  1 Cl 3.04, 8 S 3.18-3.37
K (0.2994, 0.0000, 0.2994)  1 Cl 2.98, 8 S 3.17-3.33
K (0.7006, 0.0000, 0.7006)  1 Cl 2.98, 8 S 3.17-3.33
K (0.8463, 0.8463, 0.0000)  1 Cl 3.04, 8 S 3.18-3.37
Fe (0.0531, 0.5518, 0.2376)  4 S 2.15-2.19
Fe (0.0531, 0.8156, 0.5013)  4 S 2.15-2.19
Fe (0.1844, 0.6858, 0.2376)  4 S 2.15-2.19
Fe (0.1844, 0.9469, 0.4987)  4 S 2.15-2.19
Fe (0.3028, 0.3028, 0.7377)  4 S 2.15-2.19
Fe (0.3028, 0.5651, 0.0000)  4 S 2.15-2.19
Fe (0.3142, 0.5518, 0.4987)  4 S 2.15-2.19
Fe (0.3142, 0.8156, 0.7624)  4 S 2.15-2.19
Fe (0.4349, 0.4349, 0.7377)  4 S 2.15-2.19
Fe (0.4349, 0.6972, 0.0000)  4 S 2.15-2.19
Fe (0.4482, 0.6858, 0.5013)  4 S 2.15-2.19
Fe (0.4482, 0.9469, 0.7624)  4 S 2.15-2.19
Fe (0.5518, 0.0531, 0.2376)  4 S 2.15-2.19
Fe (0.5518, 0.3142, 0.4987)  4 S 2.15-2.19
Fe (0.5651, 0.3028, 0.0000)  4 S 2.15-2.19
Fe (0.5651, 0.5651, 0.2623)  4 S 2.15-2.19
Fe (0.6858, 0.1844, 0.2376)  4 S 2.15-2.19
Fe (0.6858, 0.4482, 0.5013)  4 S 2.15-2.19
Fe (0.6972, 0.4349, 0.0000)  4 S 2.15-2.19
Fe (0.6972, 0.6972, 0.2623)  4 S 2.15-2.19
Fe (0.8156, 0.0531, 0.5013)  4 S 2.15-2.19
Fe (0.8156, 0.3142, 0.7624)  4 S 2.15-2.19
Fe (0.9469, 0.1844, 0.4987)  4 S 2.15-2.19
Fe (0.9469, 0.4482, 0.7624)  4 S 2.15-2.19
S (0.0031, 0.7491, 0.2540)  4 Fe 2.17-2.18
S (0.1174, 0.1174, 0.4669)  3 Fe 2.15
S (0.1174, 0.6505, 0.0000)  3 Fe 2.15
S (0.1245, 0.6245, 0.5000)  4 Fe 2.19
S (0.2509, 0.5049, 0.2540)  4 Fe 2.17-2.18
S (0.2509, 0.9969, 0.7460)  4 Fe 2.17-2.18
S (0.2517, 0.5000, 0.7517)  4 Fe 2.19
S (0.3495, 0.3495, 0.4669)  3 Fe 2.15
S (0.3495, 0.8826, 0.0000)  3 Fe 2.15
S (0.3755, 0.8755, 0.5000)  4 Fe 2.19
S (0.3763, 0.3763, 0.0000)  4 Fe 2.17
S (0.4951, 0.7491, 0.7460)  4 Fe 2.17-2.18
S (0.5000, 0.2517, 0.7517)  4 Fe 2.19
S (0.5000, 0.7483, 0.2483)  4 Fe 2.19
S (0.5049, 0.2509, 0.2540)  4 Fe 2.17-2.18
S (0.6237, 0.6237, 0.0000)  4 Fe 2.17
S (0.6245, 0.1245, 0.5000)  4 Fe 2.19
S (0.6505, 0.1174, 0.0000)  3 Fe 2.15
S (0.6505, 0.6505, 0.5331)  3 Fe 2.15
S (0.7483, 0.5000, 0.2483)  4 Fe 2.19
S (0.7491, 0.0031, 0.2540)  4 Fe 2.17-2.18
S (0.7491, 0.4951, 0.7460)  4 Fe 2.17-2.18
S (0.8755, 0.3755, 0.5000)  4 Fe 2.19
S (0.8826, 0.3495, 0.0000)  3 Fe 2.15
S (0.8826, 0.8826, 0.5331)  3 Fe 2.15
S (0.9969, 0.2509, 0.7460)  4 Fe 2.17-2.18
Cl (0.0000, 0.0000, 0.0000)  6 K 2.98-3.04

---

Entry from the Materials Project database: a relaxed structure of LiFeCl4 (PBE-GGA).

Calculated values
Space group   P2_1/c, No. 14
ΔH_f (0 K)   -9.13 eV/f.u.
Calculated total energy   -4.0743 eV per atom

a = 7.1589 Å, b = 6.7630 Å, c = 13.2751 Å
α = 90.00°, β = 93.48°, γ = 90.00°
Last column: nearest neighbours and their distance in Å.
Fractional positions:
Li (0.1572, 0.0174, 0.3653)  4 Cl 2.49-2.75
Li (0.1572, 0.4826, 0.8653)  4 Cl 2.49-2.75
Li (0.8428, 0.5174, 0.1347)  4 Cl 2.49-2.75
Li (0.8428, 0.9826, 0.6347)  4 Cl 2.49-2.75
Fe (0.2911, 0.1754, 0.6014)  4 Cl 2.20-2.24
Fe (0.2911, 0.3246, 0.1014)  4 Cl 2.20-2.24
Fe (0.7089, 0.6754, 0.8986)  4 Cl 2.20-2.24
Fe (0.7089, 0.8246, 0.3986)  4 Cl 2.20-2.24
Cl (0.0726, 0.1807, 0.1900)  1 Fe 2.24
Cl (0.0726, 0.3193, 0.6900)  1 Fe 2.24
Cl (0.1849, 0.6279, 0.0703)  1 Fe 2.22
Cl (0.1849, 0.8721, 0.5703)  1 Fe 2.22
Cl (0.3029, 0.1891, 0.9508)  1 Fe 2.20
Cl (0.3029, 0.3109, 0.4508)  1 Fe 2.20
Cl (0.4327, 0.6798, 0.8157)  1 Fe 2.20
Cl (0.4327, 0.8202, 0.3157)  1 Fe 2.20
Cl (0.5673, 0.1798, 0.6843)  1 Fe 2.20
Cl (0.5673, 0.3202, 0.1843)  1 Fe 2.20
Cl (0.6971, 0.6891, 0.5492)  1 Fe 2.20
Cl (0.6971, 0.8109, 0.0492)  1 Fe 2.20
Cl (0.8151, 0.1279, 0.4297)  1 Fe 2.22
Cl (0.8151, 0.3721, 0.9297)  1 Fe 2.22
Cl (0.9274, 0.6807, 0.3100)  1 Fe 2.24
Cl (0.9274, 0.8193, 0.8100)  1 Fe 2.24

---

Entry from the Materials Project database: a relaxed structure of Li2FeCl4 (PBE-GGA).

Calculated values
Space group   P1, No. 1
ΔH_f (0 K)   -11.51 eV/f.u.
Magnetization   4.0 μB per formula unit
Calculated total energy   -4.1052 eV per atom

a = 7.2707 Å, b = 7.3934 Å, c = 30.2360 Å
α = 83.03°, β = 84.28°, γ = 60.61°
Last column: nearest neighbours and their distance in Å.
Fractional positions:
Li (0.0000, 0.0000, 0.0000)  3 Cl 2.43-2.48
Li (0.9996, 0.5296, 0.4860)  5 Cl 2.45-2.66
Li (0.0991, 0.6013, 0.1889)  4 Cl 2.44-2.54
Li (0.1018, 0.6147, 0.6944)  6 Cl 2.51-2.64
Li (0.1688, 0.2732, 0.3924)  3 Cl 2.35-2.51
Li (0.2841, 0.3225, 0.0932)  6 Cl 2.52-2.75
Li (0.2954, 0.8022, 0.5998)  3 Cl 2.42-2.54
Li (0.2973, 0.8079, 0.0919)  6 Cl 2.55-2.57
Li (0.3778, 0.8236, 0.3760)  4 Cl 2.29-2.56
Li (0.4000, 0.4001, 0.7958)  6 Cl 2.59-2.70
Li (0.4009, 0.9407, 0.2711)  3 Cl 2.29-2.36
Li (0.4844, 0.5192, 0.5011)  5 Cl 2.48-2.72
Li (0.4989, 0.0080, 0.4958)  6 Cl 2.48-2.61
Li (0.5672, 0.6706, 0.1880)  5 Cl 2.37-2.63
Li (0.6931, 0.2095, 0.8943)  6 Cl 2.52-2.61
Li (0.7390, 0.9209, 0.6030)  3 Cl 2.37-2.39
Li (0.7783, 0.2460, 0.1655)  4 Cl 2.26-2.53
Li (0.8968, 0.9033, 0.2893)  4 Cl 2.48-2.56
Li (0.9002, 0.4187, 0.2904)  6 Cl 2.44-2.73
Li (0.9777, 0.4282, 0.5782)  3 Cl 2.27-2.37
Fe (0.0990, 0.1025, 0.6995)  6 Cl 2.46-2.58
Fe (0.1919, 0.2129, 0.8931)  6 Cl 2.41-2.54
Fe (0.3918, 0.4080, 0.2932)  6 Cl 2.43-2.63
Fe (0.4981, 0.0000, 0.9930)  6 Cl 2.41-2.55
Fe (0.5788, 0.6196, 0.6975)  6 Cl 2.38-2.59
Fe (0.6936, 0.7102, 0.8936)  6 Cl 2.47-2.60
Fe (0.7087, 0.1958, 0.3978)  6 Cl 2.41-2.67
Fe (0.7825, 0.8154, 0.0876)  6 Cl 2.41-2.64
Fe (0.8961, 0.4085, 0.7950)  6 Cl 2.43-2.53
Fe (0.9769, 0.0206, 0.4896)  6 Cl 2.42-2.69
Cl (0.0359, 0.0905, 0.8445)  2 Fe 2.43, 1 Li 2.58
Cl (0.0415, 0.0686, 0.3482)  2 Li 2.38-2.65, 1 Fe 2.52
Cl (0.0415, 0.5548, 0.8443)  3 Fe 2.52-2.60, 1 Li 2.64
Cl (0.0643, 0.5604, 0.3389)  3 Li 2.35-2.57, 1 Fe 2.44
Cl (0.1198, 0.6680, 0.0471)  1 Fe 2.41, 3 Li 2.47-2.56
Cl (0.1348, 0.6610, 0.5420)  4 Li 2.48-2.75, 1 Fe 2.69
Cl (0.1557, 0.1372, 0.5390)  2 Li 2.30-2.48, 1 Fe 2.54
Cl (0.1746, 0.1388, 0.0386)  1 Fe 2.41, 3 Li 2.43-2.66
Cl (0.2246, 0.2661, 0.7465)  2 Fe 2.46-2.48, 2 Li 2.61-2.64
Cl (0.2323, 0.2855, 0.2456)  3 Li 2.29-2.54, 1 Fe 2.43
Cl (0.2489, 0.7622, 0.7435)  2 Fe 2.45-2.46, 2 Li 2.53-2.70
Cl (0.2511, 0.7508, 0.2470)  3 Li 2.36-2.63, 1 Fe 2.51
Cl (0.3274, 0.8668, 0.4506)  2 Li 2.29-2.54, 1 Fe 2.46
Cl (0.3484, 0.8664, 0.9401)  3 Fe 2.54-2.55, 1 Li 2.78
Cl (0.3543, 0.3248, 0.9416)  2 Fe 2.41-2.50, 1 Li 2.52
Cl (0.3626, 0.3494, 0.4429)  4 Li 2.46-2.72, 1 Fe 2.52
Cl (0.4349, 0.4798, 0.1457)  4 Li 2.32-2.56
Cl (0.4363, 0.9590, 0.6488)  2 Li 2.39-2.54, 2 Fe 2.53-2.57
Cl (0.4449, 0.4856, 0.6489)  1 Fe 2.38, 2 Li 2.42-2.51
Cl (0.4595, 0.9668, 0.1358)  3 Li 2.37-2.57, 1 Fe 2.46
Cl (0.5329, 0.0584, 0.8474)  2 Fe 2.50-2.54, 2 Li 2.57-2.59
Cl (0.5329, 0.0610, 0.3456)  3 Li 2.56-2.79, 2 Fe 2.63-2.67
Cl (0.5669, 0.5539, 0.8425)  2 Fe 2.47-2.52, 2 Li 2.61-2.62
Cl (0.5679, 0.5143, 0.3436)  1 Li 2.30, 2 Fe 2.50-2.51
Cl (0.6366, 0.6774, 0.0416)  2 Fe 2.41-2.44, 1 Li 2.57
Cl (0.6490, 0.1459, 0.0400)  2 Fe 2.46-2.50, 2 Li 2.48-2.75
Cl (0.6604, 0.1581, 0.5382)  3 Li 2.38-2.50, 1 Fe 2.42
Cl (0.6614, 0.6596, 0.5421)  3 Li 2.37-2.54
Cl (0.7293, 0.2594, 0.2494)  1 Fe 2.46, 3 Li 2.50-2.56
Cl (0.7448, 0.7516, 0.2449)  4 Li 2.30-2.54
Cl (0.7485, 0.2681, 0.7442)  3 Fe 2.53-2.56, 1 Li 2.64
Cl (0.7512, 0.7285, 0.7438)  2 Fe 2.41-2.47, 1 Li 2.62
Cl (0.8213, 0.8648, 0.9432)  2 Fe 2.48, 1 Li 2.57
Cl (0.8381, 0.8700, 0.4434)  2 Fe 2.41-2.44, 2 Li 2.45-2.60
Cl (0.8477, 0.3590, 0.4435)  2 Fe 2.49-2.50, 2 Li 2.51-2.55
Cl (0.8542, 0.3675, 0.9373)  2 Fe 2.47, 1 Li 2.54
Cl (0.9263, 0.4752, 0.1432)  4 Li 2.42-2.66, 1 Fe 2.64
Cl (0.9393, 0.4581, 0.6530)  2 Li 2.27-2.51
Cl (0.9552, 0.9261, 0.1396)  2 Li 2.26-2.46
Cl (0.9666, 0.9622, 0.6468)  3 Li 2.37-2.56, 1 Fe 2.50